! PBE with a Hubbard U Li7Mn4P8O28, relaxed; values from VASP
! E_form, eV per atom: -2.634
! M_tot, μB per formula unit: 19.00
! Energy relative to the lowest polymorph listed for this composition, meV per atom: 0
! VASP energy, eV/atom: -7.016
&SYSTEM
  ibrav = 0, nat = 94, ntyp = 4
/
ATOMIC_SPECIES
Li 6.94 Li.upf
Mn 54.94 Mn.upf
P 30.97 P.upf
O 16.00 O.upf
CELL_PARAMETERS angstrom
9.868 0.000 0.000
-0.025 9.893 0.000
-0.037 -2.469 11.098
ATOMIC_POSITIONS angstrom
Li 0.552 2.360 5.265
Li 0.841 1.064 10.615
Li 0.997 6.648 10.781
Li 2.743 0.017 4.980
Li 3.830 1.690 10.770
Li 3.991 6.952 4.934
Li 3.977 5.987 10.640
Li 5.828 1.436 0.458
Li 5.815 0.472 6.164
Li 5.976 5.733 0.327
Li 7.063 7.406 6.117
Li 8.809 0.775 0.316
Li 8.965 6.359 0.483
Li 9.254 5.064 5.833
Mn 0.728 0.332 7.461
Mn 2.084 6.944 1.988
Mn 2.795 2.022 1.987
Mn 4.105 5.258 7.440
Mn 5.701 2.165 3.658
Mn 7.011 5.402 9.111
Mn 7.722 0.479 9.110
Mn 9.077 7.092 3.636
P 0.425 4.121 2.688
P 0.666 0.003 2.701
P 1.457 7.242 6.415
P 1.977 3.923 9.902
P 2.889 -1.036 9.898
P 3.427 2.322 6.413
P 4.275 4.949 2.692
P 4.470 9.074 2.698
P 5.336 -1.651 8.400
P 5.531 2.474 8.406
P 6.379 5.101 4.685
P 6.917 8.459 1.200
P 7.829 3.500 1.195
P 8.349 0.181 4.683
P 9.140 7.420 8.397
P 9.381 3.302 8.410
O 0.280 5.648 2.362
O 0.564 6.574 5.385
O 0.644 0.362 1.229
O 0.732 3.827 4.125
O 0.746 7.012 7.858
O 0.823 8.390 2.995
O 0.968 3.984 8.646
O 1.298 4.700 11.078
O 1.350 3.496 1.620
O 1.655 -1.137 6.228
O 1.653 -0.280 9.413
O 1.719 0.845 3.454
O 2.022 1.716 6.444
O 2.168 2.469 10.270
O 2.677 7.403 10.240
O 2.865 6.613 6.565
O 3.219 4.661 9.396
O 3.247 5.830 3.408
O 3.401 3.849 6.270
O 3.558 8.523 1.593
O 3.598 -0.280 11.072
O 3.893 -0.974 8.609
O 4.052 8.725 4.109
O 4.070 2.015 7.867
O 4.145 3.424 3.032
O 4.285 1.564 5.388
O 4.299 5.234 1.209
O 4.661 0.746 2.493
O 5.145 6.677 8.605
O 5.507 2.189 9.889
O 5.521 5.859 5.710
O 5.661 3.999 8.066
O 5.736 5.408 3.230
O 5.754 -1.302 6.988
O 5.913 8.397 2.489
O 6.208 7.703 0.026
O 6.247 -1.100 9.505
O 6.405 3.574 4.828
O 6.559 1.594 7.690
O 6.587 2.763 1.702
O 6.941 0.810 4.533
O 7.129 0.020 0.858
O 7.638 4.954 0.828
O 7.784 5.707 4.654
O 8.087 6.579 7.644
O 8.152 7.703 1.685
O 8.151 8.561 4.870
O 8.456 3.928 9.477
O 8.508 2.724 0.020
O 8.838 3.439 2.452
O 8.982 -0.967 8.103
O 9.060 0.411 3.240
O 9.074 3.596 6.973
O 9.162 7.061 9.869
O 9.242 0.849 5.713
O 9.526 1.776 8.735